1.
The following is a DFT calculation (PBE) of an optimized crystal structure of CdI2.

Lattice parameters (Å, degrees): 4.347 4.347 7.300 90.00 90.00 120.00
Positions (direct):
Cd  0.000  0.000  0.000
I  0.333  0.667  0.765
I  0.667  0.333  0.235

- Energy with MP2020 corrections: -2.161 eV/atom
- Space group: P-3m1, No. 164
- Total energy: -1.91 eV/atom
- Calculated formation energy: -0.84 eV per atom

2.
The following is a DFT calculation (PBE) of an optimized crystal structure of CdI2.

Lattice parameters (Å, degrees): 4.345 4.345 44.016 90.00 90.00 120.00
Positions (direct):
Cd  0.333  0.667  0.537
Cd  0.333  0.667  0.041
Cd  0.000  0.000  0.632
Cd  0.333  0.667  0.208
Cd  0.667  0.333  0.374
Cd  0.333  0.667  0.874
I  0.000  0.000  0.170
I  0.333  0.667  0.413
I  0.667  0.333  0.081
I  0.667  0.333  0.914
I  0.333  0.667  0.667
I  0.000  0.000  0.335
I  0.000  0.000  0.003
I  0.667  0.333  0.582
I  0.667  0.333  0.247
I  0.000  0.000  0.836
I  0.000  0.000  0.499
I  0.667  0.333  0.736

- Energy with MP2020 corrections: -2.043 eV/atom
- Space group: P3m1, No. 156
- Total energy: -1.79 eV/atom
- Calculated formation energy: -0.72 eV per atom

3.
The following is a DFT calculation (PBE) of an optimized crystal structure of CdI2.

Lattice parameters (Å, degrees): 4.342 4.342 139.648 90.00 90.00 120.00
Positions (direct):
Cd  0.000  0.000  0.539
Cd  0.667  0.333  0.750
Cd  0.000  0.000  0.434
Cd  0.000  0.000  0.697
Cd  0.667  0.333  0.066
Cd  0.667  0.333  0.487
Cd  0.000  0.000  0.013
Cd  0.000  0.000  0.118
Cd  0.000  0.000  0.592
Cd  0.667  0.333  0.645
Cd  0.000  0.000  0.276
Cd  0.667  0.333  0.382
Cd  0.000  0.000  0.855
Cd  0.667  0.333  0.171
Cd  0.667  0.333  0.908
Cd  0.667  0.333  0.329
Cd  0.000  0.000  0.224
Cd  0.667  0.333  0.961
Cd  0.667  0.333  0.803
I  0.667  0.333  0.710
I  0.333  0.667  0.738
I  0.333  0.667  0.843
I  0.333  0.667  0.474
I  0.667  0.333  0.026
I  0.333  0.667  0.948
I  0.667  0.333  0.447
I  0.333  0.667  0.264
I  0.333  0.667  0.790
I  0.333  0.667  0.053
I  0.667  0.333  0.868
I  0.000  0.000  0.920
I  0.667  0.333  0.131
I  0.333  0.667  0.422
I  0.000  0.000  0.973
I  0.333  0.667  0.211
I  0.000  0.000  0.657
I  0.333  0.667  0.685
I  0.000  0.000  0.078
I  0.667  0.333  0.236
I  0.333  0.667  0.896
I  0.667  0.333  0.552
I  0.000  0.000  0.394
I  0.000  0.000  0.815
I  0.333  0.667  0.001
I  0.333  0.667  0.369
I  0.333  0.667  0.527
I  0.000  0.000  0.341
I  0.667  0.333  0.604
I  0.000  0.000  0.183
I  0.000  0.000  0.762
I  0.333  0.667  0.580
I  0.333  0.667  0.632
I  0.000  0.000  0.499
I  0.333  0.667  0.159
I  0.667  0.333  0.289
I  0.333  0.667  0.106
I  0.333  0.667  0.317

- Energy with MP2020 corrections: -2.161 eV/atom
- Space group: P3m1, No. 156
- Total energy: -1.91 eV/atom
- Calculated formation energy: -0.84 eV per atom

4.
The following is a DFT calculation (PBE) of an optimized crystal structure of CdI2.

Lattice parameters (Å, degrees): 4.333 4.333 78.172 90.00 90.00 120.00
Positions (direct):
Cd  0.000  0.000  0.325
Cd  0.333  0.667  0.725
Cd  0.000  0.000  0.025
Cd  0.000  0.000  0.225
Cd  0.000  0.000  0.125
Cd  0.333  0.667  0.525
Cd  0.000  0.000  0.425
Cd  0.333  0.667  0.625
Cd  0.333  0.667  0.825
Cd  0.000  0.000  0.925
I  0.333  0.667  0.103
I  0.667  0.333  0.447
I  0.667  0.333  0.347
I  0.667  0.333  0.947
I  0.333  0.667  0.303
I  0.000  0.000  0.703
I  0.333  0.667  0.403
I  0.333  0.667  0.203
I  0.000  0.000  0.803
I  0.333  0.667  0.903
I  0.667  0.333  0.047
I  0.000  0.000  0.603
I  0.333  0.667  0.003
I  0.667  0.333  0.547
I  0.667  0.333  0.847
I  0.667  0.333  0.247
I  0.000  0.000  0.503
I  0.667  0.333  0.147
I  0.667  0.333  0.647
I  0.667  0.333  0.747

- Energy with MP2020 corrections: -2.163 eV/atom
- Space group: P3m1, No. 156
- Total energy: -1.91 eV/atom
- Calculated formation energy: -0.84 eV per atom

5.
The following is a DFT calculation (PBE) of an optimized crystal structure of CdI2.

Lattice parameters (Å, degrees): 4.332 4.332 29.603 90.00 90.00 120.00
Positions (direct):
Cd  0.333  0.667  0.750
Cd  0.333  0.667  0.000
Cd  0.667  0.333  0.250
Cd  0.667  0.333  0.500
I  0.333  0.667  0.192
I  0.000  0.000  0.808
I  0.000  0.000  0.058
I  0.667  0.333  0.942
I  0.667  0.333  0.692
I  0.000  0.000  0.308
I  0.333  0.667  0.442
I  0.000  0.000  0.558

- Energy with MP2020 corrections: -2.162 eV/atom
- Space group: P6_3mc, No. 186
- Maximum piezoelectric response: 0.00 C/m²
- Total energy: -1.91 eV/atom
- Calculated formation energy: -0.84 eV per atom

6.
The following is a DFT calculation (PBE) of an optimized crystal structure of CdI2.

Lattice parameters (Å, degrees): 4.331 4.331 22.210 90.00 90.00 120.00
Positions (direct):
Cd  0.000  0.000  0.083
Cd  0.333  0.667  0.417
Cd  0.333  0.667  0.750
I  0.000  0.000  0.672
I  0.667  0.333  0.828
I  0.667  0.333  0.161
I  0.000  0.000  0.339
I  0.333  0.667  0.006
I  0.667  0.333  0.495

- Energy with MP2020 corrections: -2.161 eV/atom
- Space group: P3m1, No. 156
- Maximum piezoelectric response: 0.01 C/m²
- Total energy: -1.91 eV/atom
- Calculated formation energy: -0.84 eV per atom

7.
The following is a DFT calculation (PBE) of an optimized crystal structure of CdI2.

Lattice parameters (Å, degrees): 4.340 4.340 125.101 90.00 90.00 120.00
Positions (direct):
Cd  0.000  0.000  0.485
Cd  0.000  0.000  0.779
Cd  0.333  0.667  0.662
Cd  0.000  0.000  0.191
Cd  0.333  0.667  0.544
Cd  0.000  0.000  0.721
Cd  0.333  0.667  0.956
Cd  0.000  0.000  0.897
Cd  0.000  0.000  0.426
Cd  0.333  0.667  0.838
Cd  0.000  0.000  0.132
Cd  0.000  0.000  0.015
Cd  0.000  0.000  0.309
Cd  0.333  0.667  0.074
Cd  0.333  0.667  0.250
Cd  0.333  0.667  0.368
Cd  0.000  0.000  0.603
I  0.333  0.667  0.413
I  0.667  0.333  0.323
I  0.667  0.333  0.440
I  0.667  0.333  0.558
I  0.000  0.000  0.942
I  0.333  0.667  0.707
I  0.667  0.333  0.146
I  0.000  0.000  0.354
I  0.000  0.000  0.648
I  0.333  0.667  0.295
I  0.333  0.667  0.883
I  0.667  0.333  0.970
I  0.667  0.333  0.205
I  0.333  0.667  0.471
I  0.667  0.333  0.676
I  0.333  0.667  0.119
I  0.667  0.333  0.381
I  0.000  0.000  0.060
I  0.667  0.333  0.029
I  0.333  0.667  0.766
I  0.333  0.667  0.001
I  0.000  0.000  0.530
I  0.333  0.667  0.177
I  0.667  0.333  0.617
I  0.000  0.000  0.236
I  0.667  0.333  0.911
I  0.667  0.333  0.087
I  0.667  0.333  0.793
I  0.000  0.000  0.824
I  0.333  0.667  0.589
I  0.667  0.333  0.734
I  0.667  0.333  0.264
I  0.667  0.333  0.852
I  0.667  0.333  0.499

- Energy with MP2020 corrections: -2.161 eV/atom
- Space group: P3m1, No. 156
- Total energy: -1.91 eV/atom
- Calculated formation energy: -0.84 eV per atom

8.
The following is a DFT calculation (PBE) of an optimized crystal structure of CdI2.

Lattice parameters (Å, degrees): 4.337 4.337 125.807 90.00 90.00 120.00
Positions (direct):
Cd  0.000  0.000  0.766
Cd  0.000  0.000  0.141
Cd  0.000  0.000  0.016
Cd  0.333  0.667  0.328
Cd  0.333  0.667  0.703
Cd  0.333  0.667  0.578
Cd  0.000  0.000  0.266
Cd  0.333  0.667  0.453
Cd  0.000  0.000  0.641
Cd  0.000  0.000  0.828
Cd  0.000  0.000  0.391
Cd  0.000  0.000  0.516
Cd  0.333  0.667  0.203
Cd  0.333  0.667  0.078
Cd  0.333  0.667  0.891
Cd  0.000  0.000  0.953
I  0.000  0.000  0.877
I  0.667  0.333  0.029
I  0.667  0.333  0.279
I  0.667  0.333  0.529
I  0.000  0.000  0.189
I  0.333  0.667  0.377
I  0.333  0.667  0.939
I  0.667  0.333  0.154
I  0.667  0.333  0.654
I  0.667  0.333  0.092
I  0.667  0.333  0.717
I  0.000  0.000  0.314
I  0.667  0.333  0.467
I  0.000  0.000  0.689
I  0.000  0.000  0.064
I  0.667  0.333  0.904
I  0.333  0.667  0.252
I  0.333  0.667  0.502
I  0.000  0.000  0.564
I  0.667  0.333  0.779
I  0.333  0.667  0.752
I  0.333  0.667  0.127
I  0.333  0.667  0.814
I  0.667  0.333  0.404
I  0.667  0.333  0.217
I  0.333  0.667  0.002
I  0.667  0.333  0.967
I  0.000  0.000  0.439
I  0.667  0.333  0.842
I  0.333  0.667  0.627
I  0.667  0.333  0.592
I  0.667  0.333  0.342

- Energy with MP2020 corrections: -2.163 eV/atom
- Space group: P3m1, No. 156
- Total energy: -1.91 eV/atom
- Calculated formation energy: -0.84 eV per atom